Material: Li2MnVP2O8F2
Method: DFT, GGA+U
State: relaxed

Properties
Calculated formation energy (eV per atom): -2.731
Total magnetic moment (μB per formula unit): 6.0
Energy relative to the lowest polymorph listed for this composition (meV per atom): 30
Calculated volume (A^3/atom): 11.374

Unit cell a=6.912 b=7.424 c=7.981 alpha=87.10 beta=88.37 gamma=62.85
Element x y z (fractional)
Li (0.244, 0.312, 0.326)
Li (0.254, 0.688, 0.175)
Li (0.746, 0.312, 0.825)
Li (0.756, 0.688, 0.674)
Mn (0.000, 0.500, 0.000)
Mn (0.500, 0.000, 0.000)
V (0.000, 0.000, 0.500)
V (0.500, 0.500, 0.500)
P (0.218, 0.261, 0.663)
P (0.281, 0.736, 0.840)
P (0.719, 0.264, 0.160)
P (0.782, 0.739, 0.337)
O (0.008, 0.384, 0.768)
O (0.092, 0.888, 0.733)
O (0.171, 0.154, 0.518)
O (0.222, 0.582, 0.941)
O (0.279, 0.413, 0.560)
O (0.338, 0.838, 0.983)
O (0.408, 0.111, 0.772)
O (0.490, 0.612, 0.732)
O (0.510, 0.388, 0.268)
O (0.592, 0.889, 0.228)
O (0.662, 0.162, 0.017)
O (0.721, 0.587, 0.440)
O (0.778, 0.418, 0.059)
O (0.829, 0.846, 0.482)
O (0.908, 0.112, 0.267)
O (0.992, 0.616, 0.232)
F (0.230, 0.237, 0.109)
F (0.266, 0.762, 0.400)
F (0.734, 0.238, 0.600)
F (0.770, 0.763, 0.891)